No. 1
VASP calculation (PBE with a Hubbard U) on a geometry-optimized Li2CoSiO4 structure.

Computed properties:
formation enthalpy at 0 K = -20.1 eV per formula unit

a = 7.364 Å, b = 7.369 Å, c = 8.056 Å
α = 65.04°, β = 65.08°, γ = 94.29°
Positions (direct):
Co (0.576, 0.411, 0.507)
Co (0.406, 0.581, 0.007)
Co (0.906, 0.081, 0.007)
Co (0.076, 0.911, 0.507)
Si (0.202, 0.534, 0.753)
Si (0.530, 0.207, 0.253)
Si (0.702, 0.034, 0.753)
Si (0.030, 0.707, 0.253)
O (0.360, 0.045, 0.253)
O (0.936, 0.124, 0.537)
O (0.436, 0.624, 0.537)
O (0.611, 0.232, 0.752)
O (0.403, 0.224, 0.469)
O (0.620, 0.440, 0.037)
O (0.111, 0.732, 0.752)
O (0.228, 0.615, 0.252)
O (0.719, 0.907, 0.969)
O (0.728, 0.115, 0.252)
O (0.860, 0.545, 0.253)
O (0.041, 0.365, 0.753)
O (0.903, 0.724, 0.469)
O (0.541, 0.865, 0.753)
O (0.120, 0.940, 0.036)
O (0.219, 0.407, 0.969)
Li (0.291, 0.952, 0.752)
Li (0.448, 0.796, 0.252)
Li (0.833, 0.661, 0.001)
Li (0.657, 0.838, 0.501)
Li (0.948, 0.296, 0.252)
Li (0.791, 0.452, 0.752)
Li (0.157, 0.338, 0.501)
Li (0.333, 0.161, 0.001)

***

No. 2
VASP calculation (PBE with a Hubbard U) on a geometry-optimized Zn3Cr2Ge3O12 structure.

Computed properties:
formation enthalpy at 0 K = -40.2 eV per formula unit

a = 10.481 Å, b = 10.481 Å, c = 10.481 Å
α = 109.47°, β = 109.47°, γ = 109.47°
Positions (direct):
O (0.182, 0.474, 0.601)
O (0.399, 0.080, 0.873)
O (0.873, 0.974, 0.793)
O (0.899, 0.026, 0.318)
O (0.420, 0.101, 0.627)
O (0.580, 0.182, 0.207)
O (0.474, 0.601, 0.182)
O (0.707, 0.682, 0.080)
O (0.127, 0.601, 0.920)
O (0.026, 0.318, 0.899)
O (0.207, 0.580, 0.182)
O (0.182, 0.207, 0.580)
O (0.373, 0.580, 0.899)
O (0.399, 0.818, 0.526)
O (0.101, 0.974, 0.682)
O (0.601, 0.182, 0.474)
O (0.526, 0.627, 0.707)
O (0.318, 0.899, 0.026)
O (0.920, 0.293, 0.318)
O (0.873, 0.399, 0.080)
O (0.207, 0.127, 0.026)
O (0.293, 0.318, 0.920)
O (0.682, 0.101, 0.974)
O (0.627, 0.707, 0.526)
O (0.682, 0.080, 0.707)
O (0.793, 0.873, 0.974)
O (0.580, 0.899, 0.373)
O (0.318, 0.920, 0.293)
O (0.080, 0.707, 0.682)
O (0.026, 0.207, 0.127)
O (0.526, 0.399, 0.818)
O (0.420, 0.818, 0.793)
O (0.080, 0.873, 0.399)
O (0.974, 0.793, 0.873)
O (0.627, 0.420, 0.101)
O (0.920, 0.127, 0.601)
O (0.974, 0.682, 0.101)
O (0.818, 0.526, 0.399)
O (0.373, 0.293, 0.474)
O (0.707, 0.526, 0.627)
O (0.293, 0.474, 0.373)
O (0.818, 0.793, 0.420)
O (0.793, 0.420, 0.818)
O (0.601, 0.920, 0.127)
O (0.101, 0.627, 0.420)
O (0.127, 0.026, 0.207)
O (0.474, 0.373, 0.293)
O (0.899, 0.373, 0.580)
Ge (0.375, 0.250, 0.625)
Ge (0.750, 0.875, 0.125)
Ge (0.875, 0.125, 0.750)
Ge (0.250, 0.125, 0.875)
Ge (0.125, 0.750, 0.875)
Ge (0.250, 0.625, 0.375)
Ge (0.875, 0.250, 0.125)
Ge (0.125, 0.875, 0.250)
Ge (0.625, 0.375, 0.250)
Ge (0.625, 0.750, 0.375)
Ge (0.375, 0.625, 0.750)
Ge (0.750, 0.375, 0.625)
Cr (0.500, 0.000, 0.500)
Cr (0.500, 0.500, 0.000)
Cr (0.000, 0.000, 0.000)
Cr (0.000, 0.500, 0.000)
Cr (0.500, 0.500, 0.500)
Cr (0.000, 0.000, 0.500)
Cr (0.000, 0.500, 0.500)
Cr (0.500, 0.000, 0.000)
Zn (0.375, 0.750, 0.125)
Zn (0.125, 0.250, 0.375)
Zn (0.250, 0.375, 0.125)
Zn (0.875, 0.625, 0.250)
Zn (0.875, 0.750, 0.625)
Zn (0.250, 0.875, 0.625)
Zn (0.375, 0.125, 0.250)
Zn (0.750, 0.625, 0.875)
Zn (0.625, 0.875, 0.750)
Zn (0.750, 0.125, 0.375)
Zn (0.125, 0.375, 0.750)
Zn (0.625, 0.250, 0.875)

***

No. 3
VASP calculation (PBE with a Hubbard U) on a geometry-optimized Li3Fe3P4O16 structure.

Computed properties:
formation enthalpy at 0 K = -63.9 eV per formula unit

a = 8.132 Å, b = 7.755 Å, c = 10.154 Å
α = 84.71°, β = 90.00°, γ = 90.00°
Positions (direct):
P (0.314, 0.055, 0.396)
P (0.814, 0.945, 0.604)
P (0.687, 0.451, 0.360)
P (0.303, 0.050, 0.889)
P (0.698, 0.451, 0.854)
P (0.198, 0.549, 0.146)
P (0.803, 0.950, 0.111)
P (0.187, 0.549, 0.640)
O (0.871, 0.510, 0.897)
O (0.698, 0.364, 0.227)
O (0.806, 0.853, 0.476)
O (0.133, 0.982, 0.849)
O (0.862, 0.808, 0.216)
O (0.632, 0.308, 0.470)
O (0.637, 0.319, 0.968)
O (0.572, 0.604, 0.346)
O (0.366, 0.498, 0.599)
O (0.691, 0.368, 0.723)
O (0.429, 0.898, 0.903)
O (0.297, 0.126, 0.027)
O (0.362, 0.192, 0.784)
O (0.863, 0.806, 0.723)
O (0.137, 0.681, 0.032)
O (0.191, 0.632, 0.277)
O (0.371, 0.490, 0.103)
O (0.926, 0.099, 0.593)
O (0.633, 0.018, 0.151)
O (0.136, 0.009, 0.344)
O (0.198, 0.636, 0.773)
O (0.363, 0.194, 0.277)
O (0.080, 0.389, 0.155)
O (0.580, 0.611, 0.845)
O (0.797, 0.874, 0.973)
O (0.306, 0.147, 0.524)
O (0.929, 0.102, 0.097)
O (0.426, 0.901, 0.407)
O (0.072, 0.396, 0.654)
O (0.132, 0.692, 0.530)
O (0.866, 0.502, 0.401)
O (0.636, 0.991, 0.656)
Fe (0.518, 0.262, 0.131)
Fe (0.139, 0.148, 0.170)
Fe (0.985, 0.723, 0.379)
Fe (0.639, 0.852, 0.830)
Fe (0.485, 0.277, 0.621)
Fe (0.018, 0.738, 0.869)
Li (0.362, 0.637, 0.921)
Li (0.364, 0.659, 0.416)
Li (0.132, 0.154, 0.664)
Li (0.864, 0.341, 0.584)
Li (0.632, 0.846, 0.336)
Li (0.862, 0.363, 0.079)

***

No. 4
VASP calculation (PBE with a Hubbard U) on a geometry-optimized SrCaCoP2O8 structure.

Computed properties:
formation enthalpy at 0 K = -38.0 eV per formula unit

a = 5.721 Å, b = 6.946 Å, c = 9.510 Å
α = 109.50°, β = 101.69°, γ = 98.65°
Positions (direct):
O (0.958, 0.097, 0.691)
O (0.378, 0.548, 0.834)
O (0.729, 0.999, 0.130)
O (0.427, 0.591, 0.389)
O (0.018, 0.732, 0.598)
O (0.982, 0.268, 0.402)
O (0.364, 0.033, 0.626)
O (0.573, 0.409, 0.611)
O (0.840, 0.559, 0.879)
O (0.042, 0.903, 0.309)
O (0.636, 0.967, 0.374)
O (0.271, 0.001, 0.870)
O (0.622, 0.452, 0.166)
O (0.652, 0.800, 0.761)
O (0.348, 0.200, 0.239)
O (0.160, 0.441, 0.121)
P (0.161, 0.966, 0.701)
P (0.394, 0.418, 0.226)
P (0.839, 0.034, 0.299)
P (0.606, 0.582, 0.774)
Co (0.645, 0.851, 0.562)
Co (0.355, 0.149, 0.438)
Ca (0.998, 0.416, 0.660)
Ca (0.002, 0.584, 0.340)
Sr (0.265, 0.808, 0.059)
Sr (0.735, 0.192, 0.941)

***

No. 5
VASP calculation (PBE with a Hubbard U) on a geometry-optimized LiMnCoO4 structure.

Computed properties:
formation enthalpy at 0 K = -11.9 eV per formula unit

a = 5.710 Å, b = 5.793 Å, c = 5.843 Å
α = 117.99°, β = 118.84°, γ = 90.99°
Positions (direct):
Li (0.000, 0.500, 0.000)
Li (0.000, 0.000, 0.500)
O (0.292, 0.776, 0.541)
O (0.756, 0.783, 0.559)
O (0.757, 0.783, 0.014)
O (0.755, 0.215, 0.988)
O (0.244, 0.217, 0.441)
O (0.708, 0.224, 0.459)
O (0.245, 0.785, 0.012)
O (0.243, 0.217, 0.986)
Co (0.000, 0.000, 0.000)
Co (0.500, 0.000, 0.500)
Mn (0.500, 0.500, 0.500)
Mn (0.500, 0.000, 0.000)

***

No. 6
VASP calculation (PBE with a Hubbard U) on a geometry-optimized Li4V3P8O29 structure.

Computed properties:
formation enthalpy at 0 K = -113.1 eV per formula unit

a = 9.758 Å, b = 9.762 Å, c = 14.107 Å
α = 90.28°, β = 89.91°, γ = 119.83°
Positions (direct):
O (0.742, 0.082, 0.334)
O (0.908, 0.381, 0.329)
O (0.343, 0.260, 0.329)
O (0.474, 0.383, 0.820)
O (0.793, 0.999, 0.750)
O (0.257, 0.915, 0.663)
O (0.798, 0.789, 0.240)
O (0.982, 0.218, 0.437)
O (0.329, 0.817, 0.832)
O (0.468, 0.087, 0.330)
O (0.512, 0.188, 0.667)
O (0.902, 0.521, 0.821)
O (0.615, 0.542, 0.332)
O (0.080, 0.739, 0.165)
O (0.913, 0.656, 0.336)
O (0.189, 0.670, 0.326)
O (0.529, 0.344, 0.181)
O (0.091, 0.473, 0.181)
O (0.799, 0.805, 0.418)
O (0.484, 0.668, 0.826)
O (0.381, 0.463, 0.670)
O (0.655, 0.739, 0.668)
O (0.527, 0.909, 0.672)
O (0.815, 0.323, 0.670)
O (0.083, 0.340, 0.660)
O (0.332, 0.663, 0.974)
O (0.744, 0.661, 0.840)
O (0.822, 0.489, 0.176)
O (0.672, 0.335, 0.524)
O (0.330, 0.517, 0.322)
O (0.204, 0.997, 0.250)
O (0.675, 0.352, 0.027)
O (0.998, 0.754, 0.933)
O (0.329, 0.656, 0.476)
O (0.234, 0.986, 0.069)
O (0.760, 0.005, 0.928)
O (0.336, 0.086, 0.841)
O (0.241, 0.249, 0.936)
O (0.992, 0.227, 0.078)
O (0.006, 0.797, 0.756)
O (0.258, 0.343, 0.164)
O (0.491, 0.813, 0.334)
O (0.771, 0.990, 0.571)
O (0.186, 0.525, 0.819)
O (0.671, 0.187, 0.167)
O (0.664, 0.916, 0.155)
O (0.201, 0.209, 0.757)
O (0.674, 0.482, 0.676)
O (0.619, 0.101, 0.821)
O (0.001, 0.795, 0.575)
O (0.379, 0.898, 0.180)
O (0.078, 0.616, 0.670)
O (0.521, 0.619, 0.175)
O (0.916, 0.259, 0.833)
O (0.009, 0.210, 0.257)
O (0.213, 0.204, 0.578)
O (0.755, 0.752, 0.064)
O (0.224, 0.019, 0.430)
Li (0.907, 0.236, 0.559)
Li (0.908, 0.676, 0.062)
Li (0.777, 0.094, 0.057)
Li (0.007, 0.953, 0.490)
Li (0.331, 0.097, 0.556)
Li (0.225, 0.919, 0.942)
Li (0.669, 0.900, 0.440)
Li (0.681, 0.773, 0.939)
V (0.566, 0.000, 0.247)
V (0.429, 0.433, 0.249)
V (0.004, 0.566, 0.258)
V (0.431, 0.002, 0.751)
V (0.003, 0.437, 0.750)
V (0.564, 0.557, 0.744)
P (0.337, 0.670, 0.869)
P (0.313, 0.089, 0.341)
P (0.226, 0.907, 0.160)
P (0.312, 0.233, 0.849)
P (0.668, 0.330, 0.629)
P (0.683, 0.909, 0.659)
P (0.681, 0.767, 0.154)
P (0.912, 0.225, 0.345)
P (0.776, 0.694, 0.338)
P (0.771, 0.092, 0.839)
P (0.086, 0.313, 0.161)
P (0.673, 0.341, 0.132)
P (0.911, 0.682, 0.842)
P (0.083, 0.777, 0.658)
P (0.338, 0.666, 0.371)
P (0.222, 0.303, 0.660)